Record 1
# PBE Nb3Tl, optimized geometry
# Formation energy, kJ per mole of atoms: 20
# M_tot, μB per cell: 0.00
data_Nb3Tl
_cell_length_a 5.363
_cell_length_b 5.363
_cell_length_c 5.363
_cell_angle_alpha 90.00
_cell_angle_beta 90.00
_cell_angle_gamma 90.00
_space_group_name_H-M_alt 'P m -3 n'
_space_group_IT_number 223
_space_group_name_Hall '-P 4n 2 3'
loop_
_atom_site_label
_atom_site_fract_x
_atom_site_fract_y
_atom_site_fract_z
_atom_site_occupancy
Nb1 0.000 0.250 0.500 1
Tl1 0.000 0.000 0.000 1

=====

Record 2
# PBE Zr3AlN4, optimized geometry
# Formation energy, kJ per mole of atoms: -154
# M_tot, μB per cell: 0.01
data_Zr3AlN4
_cell_length_a 3.215
_cell_length_b 3.215
_cell_length_c 8.976
_cell_angle_alpha 90.00
_cell_angle_beta 90.00
_cell_angle_gamma 90.00
_space_group_name_H-M_alt 'P 4/m m m'
_space_group_IT_number 123
_space_group_name_Hall '-P 4 2'
loop_
_atom_site_label
_atom_site_fract_x
_atom_site_fract_y
_atom_site_fract_z
_atom_site_occupancy
Zr1 0.000 0.000 0.000 1
Zr2 0.500 0.500 0.251 1
Al1 0.000 0.000 0.500 1
N1 0.000 0.000 0.275 1
N2 0.500 0.500 0.000 1
N3 0.500 0.500 0.500 1

=====

Record 3
# PBE Li10GeP2S12, optimized geometry
# Formation energy, kJ per mole of atoms: -116
# M_tot, μB per cell: 0.00
data_Li10GeP2S12
_cell_length_a 8.590
_cell_length_b 8.880
_cell_length_c 12.975
_cell_angle_alpha 91.98
_cell_angle_beta 90.64
_cell_angle_gamma 90.25
_space_group_name_H-M_alt 'P 1'
_space_group_IT_number 1
loop_
_space_group_symop_operation_xyz
'x,y,z'
loop_
_atom_site_label
_atom_site_fract_x
_atom_site_fract_y
_atom_site_fract_z
_atom_site_occupancy
Li1 0.000 0.000 0.000 1
Li2 0.000 0.471 0.114 1
Li3 0.012 0.455 0.398 1
Li4 0.015 0.004 0.754 1
Li5 0.015 0.963 0.233 1
Li6 0.030 0.532 0.906 1
Li7 0.232 0.759 0.499 1
Li8 0.267 0.239 0.799 1
Li9 0.281 0.208 0.297 1
Li10 0.505 0.499 0.605 1
Li11 0.512 0.506 0.879 1
Li12 0.514 0.990 0.030 1
Li13 0.518 0.004 0.756 1
Li14 0.524 0.463 0.100 1
Li15 0.535 0.971 0.438 1
Li16 0.554 0.458 0.374 1
Li17 0.735 0.760 0.174 1
Li18 0.759 0.760 0.700 1
Li19 0.986 0.061 0.502 1
Li20 0.992 0.502 0.668 1
Ge1 0.279 0.234 0.564 1
Ge2 0.767 0.731 0.931 1
P1 0.258 0.252 0.059 1
P2 0.263 0.759 0.741 1
P3 0.763 0.208 0.250 1
P4 0.779 0.726 0.433 1
S1 0.055 0.232 0.654 1
S2 0.063 0.274 0.967 1
S3 0.066 0.774 0.649 1
S4 0.255 0.044 0.123 1
S5 0.257 0.553 0.807 1
S6 0.263 0.036 0.451 1
S7 0.266 0.422 0.171 1
S8 0.266 0.938 0.845 1
S9 0.288 0.444 0.470 1
S10 0.455 0.773 0.648 1
S11 0.456 0.259 0.969 1
S12 0.484 0.242 0.670 1
S13 0.550 0.709 0.021 1
S14 0.572 0.189 0.338 1
S15 0.585 0.734 0.338 1
S16 0.759 0.419 0.192 1
S17 0.763 0.906 0.536 1
S18 0.771 0.952 0.852 1
S19 0.773 0.525 0.509 1
S20 0.775 0.037 0.138 1
S21 0.777 0.539 0.814 1
S22 0.966 0.191 0.336 1
S23 0.972 0.722 0.040 1
S24 0.983 0.729 0.349 1

=====

Record 4
# PBE Cu31PdN8, optimized geometry
# Formation energy, kJ per mole of atoms: 21
# M_tot, μB per cell: 0.00
data_Cu31PdN8
_cell_length_a 3.943
_cell_length_b 7.709
_cell_length_c 15.202
_cell_angle_alpha 90.00
_cell_angle_beta 90.00
_cell_angle_gamma 90.00
_space_group_name_H-M_alt 'P m m m'
_space_group_IT_number 47
loop_
_space_group_symop_operation_xyz
'x,y,z'
'-x,-y,-z'
'-x,-y,z'
'x,y,-z'
'x,-y,-z'
'-x,y,z'
'-x,y,-z'
'x,-y,z'
loop_
_atom_site_label
_atom_site_fract_x
_atom_site_fract_y
_atom_site_fract_z
_atom_site_occupancy
Cu1 0.000 0.000 0.000 1
Cu2 0.000 0.000 0.250 1
Cu3 0.000 0.000 0.500 1
Cu4 0.000 0.250 0.125 1
Cu5 0.000 0.250 0.374 1
Cu6 0.000 0.500 0.000 1
Cu7 0.000 0.500 0.250 1
Cu8 0.500 0.000 0.125 1
Cu9 0.500 0.000 0.375 1
Cu10 0.500 0.249 0.500 1
Cu11 0.500 0.250 0.000 1
Cu12 0.500 0.250 0.250 1
Cu13 0.500 0.500 0.125 1
Cu14 0.500 0.500 0.374 1
Pd1 0.000 0.500 0.500 1
N1 0.500 0.000 0.000 1
N2 0.500 0.000 0.250 1
N3 0.500 0.000 0.500 1
N4 0.500 0.500 0.000 1
N5 0.500 0.500 0.250 1
N6 0.500 0.500 0.500 1

=====

Record 5
# PBE ErMg5, optimized geometry
# Formation energy, kJ per mole of atoms: -1
data_ErMg5
_cell_length_a 5.370
_cell_length_b 3.216
_cell_length_c 17.067
_cell_angle_alpha 90.00
_cell_angle_beta 90.00
_cell_angle_gamma 90.00
_space_group_name_H-M_alt 'A m m 2'
_space_group_IT_number 38
loop_
_space_group_symop_operation_xyz
'x,y,z'
'-x,-y,z'
'-x,y,z'
'x,-y,z'
'x,y+1/2,z+1/2'
'-x,-y+1/2,z+1/2'
'-x,y+1/2,z+1/2'
'x,-y+1/2,z+1/2'
loop_
_atom_site_label
_atom_site_fract_x
_atom_site_fract_y
_atom_site_fract_z
_atom_site_occupancy
Er1 0.000 0.000 0.000 1
Mg1 0.000 0.000 0.328 1
Mg2 0.000 0.000 0.668 1
Mg3 0.500 0.000 0.219 1
Mg4 0.500 0.000 0.557 1
Mg5 0.500 0.000 0.885 1

=====

Record 6
# PBE Li3BrO, optimized geometry
# Formation energy, kJ per mole of atoms: -176
data_Li3BrO
_cell_length_a 4.006
_cell_length_b 4.006
_cell_length_c 4.006
_cell_angle_alpha 90.00
_cell_angle_beta 90.00
_cell_angle_gamma 90.00
_space_group_name_H-M_alt 'P m -3 m'
_space_group_IT_number 221
_space_group_name_Hall '-P 4 2 3'
loop_
_atom_site_label
_atom_site_fract_x
_atom_site_fract_y
_atom_site_fract_z
_atom_site_occupancy
Li1 0.000 0.000 0.500 1
Br1 0.500 0.500 0.500 1
O1 0.000 0.000 0.000 1

=====

Record 7
# PBE ErSiIr, optimized geometry
# Formation energy, kJ per mole of atoms: -105
data_ErSiIr
_cell_length_a 6.791
_cell_length_b 4.210
_cell_length_c 7.444
_cell_angle_alpha 90.00
_cell_angle_beta 90.00
_cell_angle_gamma 90.00
_space_group_name_H-M_alt 'P n m a'
_space_group_IT_number 62
loop_
_space_group_symop_operation_xyz
'x,y,z'
'-x,-y,-z'
'-x+1/2,-y,z+1/2'
'x+1/2,y,-z+1/2'
'x+1/2,-y+1/2,-z+1/2'
'-x+1/2,y+1/2,z+1/2'
'-x,y+1/2,-z'
'x,-y+1/2,z'
loop_
_atom_site_label
_atom_site_fract_x
_atom_site_fract_y
_atom_site_fract_z
_atom_site_occupancy
Er1 0.004 0.250 0.188 1
Si1 0.203 0.750 0.389 1
Ir1 0.158 0.250 0.566 1

=====

Record 8
# PBE MgO2, optimized geometry
# Formation energy, kJ per mole of atoms: -189
# M_tot, μB per cell: 0.00
data_MgO2
_cell_length_a 3.2095
_cell_length_b 3.2095
_cell_length_c 10.4819
_cell_angle_alpha 90.00
_cell_angle_beta 90.00
_cell_angle_gamma 120.00
_space_group_name_H-M_alt 'R -3 m'
_space_group_IT_number 166
_space_group_name_Hall '-R 3 2"'
loop_
_atom_site_label
_atom_site_fract_x
_atom_site_fract_y
_atom_site_fract_z
_atom_site_occupancy
Mg1 0.0000 0.0000 0.0000 1
O1 0.0000 0.0000 0.4288 1